Below is a relaxed BaSi4O9 crystal, with properties calculated at the PBE level.

```
BaSi4O9
1.0
6.579 0.000 0.000
-3.290 5.698 0.000
0.000 0.000 9.470
Ba Si O
2 8 18
Cartesian
0.000 0.000 0.000 Ba
0.000 0.000 4.735 Ba
-1.282 2.595 2.367 Si
-1.684 3.291 7.102 Si
1.282 2.595 7.102 Si
-0.402 5.511 2.367 Si
1.684 3.291 2.367 Si
0.402 5.511 7.102 Si
3.290 1.899 0.000 Si
3.290 1.899 4.735 Si
-0.361 2.292 7.102 O
-1.485 4.239 2.367 O
0.361 2.292 2.367 O
-1.124 4.864 7.102 O
2.530 0.625 1.013 O
2.530 0.625 3.722 O
1.807 1.879 5.748 O
1.807 1.879 8.457 O
1.485 4.239 7.102 O
1.124 4.864 2.367 O
4.049 0.625 5.748 O
4.049 0.625 8.457 O
2.566 3.194 1.013 O
2.566 3.194 3.722 O
4.773 1.879 1.013 O
4.773 1.879 3.722 O
4.013 3.194 5.748 O
4.013 3.194 8.457 O
```

Output
formation energy	-3.289	eV per atom


Below is a relaxed BaSiO4 crystal, with properties calculated at the PBE level.

```
BaSiO4
1.0
7.161 0.000 0.000
0.219 7.294 0.000
0.055 0.085 7.647
Ba Si O
4 4 16
Cartesian
0.588 2.137 1.599 Ba
2.888 1.756 5.414 Ba
4.547 5.623 2.233 Ba
6.847 5.241 6.048 Ba
0.995 5.662 2.244 Si
3.268 5.507 6.070 Si
4.167 1.872 1.577 Si
6.440 1.717 5.403 Si
0.205 2.409 6.559 O
0.269 1.225 4.195 O
1.878 6.887 1.576 O
1.988 4.442 2.766 O
2.255 6.683 6.626 O
2.303 4.388 5.371 O
3.205 2.470 0.395 O
3.198 1.238 2.744 O
4.237 6.141 4.903 O
4.230 4.908 7.251 O
5.132 2.991 2.276 O
5.180 0.695 1.021 O
5.447 2.937 4.880 O
5.557 0.491 6.071 O
7.166 6.154 3.452 O
7.230 4.970 1.088 O
```

Output
formation energy	-2.539	eV per atom


Below is a relaxed Ba2Si3O8 crystal, with properties calculated at the PBE level.

```
Ba2Si3O8
1.0
12.665 0.000 0.000
0.000 4.756 0.000
-0.857 0.000 14.123
Ba Si O
8 12 32
Cartesian
0.950 1.078 1.558 Ba
0.522 1.300 8.619 Ba
4.480 3.541 0.459 Ba
4.051 3.593 7.521 Ba
7.757 1.163 6.603 Ba
7.328 1.215 13.664 Ba
11.286 3.456 5.504 Ba
10.858 3.678 12.565 Ba
1.553 0.887 5.495 Si
1.125 1.491 12.557 Si
2.598 3.233 3.913 Si
2.169 3.901 10.974 Si
5.726 3.233 4.411 Si
5.297 3.901 11.472 Si
6.511 0.855 2.651 Si
6.082 1.523 9.712 Si
9.639 0.855 3.149 Si
9.210 1.523 10.210 Si
10.683 3.264 1.566 Si
10.255 3.869 8.628 Si
0.006 1.181 5.872 O
-0.422 1.197 12.933 O
1.153 3.074 11.992 O
1.581 4.059 4.930 O
1.612 0.694 11.160 O
2.041 1.683 4.098 O
2.136 3.506 9.428 O
2.564 3.627 2.366 O
2.544 1.103 6.755 O
2.116 1.275 13.816 O
4.088 3.333 4.625 O
3.659 3.801 11.687 O
5.395 1.122 8.326 O
5.824 1.256 1.265 O
5.691 3.087 10.089 O
6.119 4.047 3.028 O
5.689 0.709 11.096 O
6.117 1.669 4.034 O
5.984 3.500 12.858 O
6.413 3.634 5.797 O
8.149 0.955 2.436 O
7.720 1.423 9.498 O
9.692 3.480 0.307 O
9.264 3.653 7.368 O
9.244 1.128 11.757 O
9.672 1.249 4.696 O
9.767 3.072 10.025 O
10.196 4.061 2.963 O
10.227 0.696 9.193 O
10.655 1.682 2.132 O
12.230 3.559 1.190 O
11.802 3.574 8.251 O
```

Output
formation energy	-3.378	eV per atom


Below is a relaxed BaSiO3 crystal, with properties calculated at the PBE level.

```
BaSiO3
1.0
6.560 -3.798 0.000
6.560 3.798 0.000
-4.263 0.000 10.657
Ba Si O
6 6 18
Cartesian
3.280 1.899 0.000 Ba
3.272 1.992 5.339 Ba
3.454 1.992 10.647 Ba
1.149 -1.899 5.329 Ba
5.404 -1.992 0.010 Ba
5.585 -1.992 5.318 Ba
5.494 2.436 2.664 Si
1.790 0.281 8.031 Si
3.921 -0.281 2.702 Si
4.936 0.281 7.955 Si
7.067 -0.281 2.626 Si
3.363 -2.436 7.993 Si
5.474 3.219 1.254 O
5.514 3.219 4.075 O
1.094 0.672 6.626 O
4.158 1.399 2.682 O
1.141 0.663 9.455 O
3.225 -0.672 1.298 O
3.363 0.916 7.993 O
6.831 1.399 2.646 O
3.272 -0.663 4.127 O
5.585 0.663 6.530 O
2.026 -1.399 8.011 O
5.494 -0.916 2.664 O
5.632 0.672 9.359 O
7.716 -0.663 1.202 O
4.700 -1.399 7.975 O
7.763 -0.672 4.031 O
3.343 -3.219 6.582 O
3.383 -3.219 9.403 O
```

Output
formation energy	-3.404	eV per atom


Below is a relaxed BaSiO3 crystal, with properties calculated at the PBE level.

```
BaSiO3
1.0
4.638 0.000 0.000
0.000 5.692 0.000
0.000 0.000 12.708
Ba Si O
4 4 12
Cartesian
1.064 1.050 1.806 Ba
1.255 4.642 8.160 Ba
3.383 1.796 10.902 Ba
3.574 3.895 4.548 Ba
0.840 4.573 11.781 Si
1.479 1.119 5.427 Si
3.159 3.964 0.927 Si
3.798 1.727 7.281 Si
0.792 1.576 6.895 O
1.114 0.456 11.518 O
1.162 2.153 4.226 O
1.157 3.538 10.580 O
1.205 5.235 5.164 O
1.527 4.116 0.541 O
3.111 1.270 5.813 O
3.433 2.390 1.190 O
3.481 0.692 8.482 O
3.476 4.999 2.128 O
3.524 3.302 7.544 O
3.846 4.421 12.167 O
```

Output
formation energy	-3.382	eV per atom


Below is a relaxed Ba2Si3O8 crystal, with properties calculated at the PBE level.

```
Ba2Si3O8
1.0
12.644 0.000 0.000
0.000 4.746 0.000
-0.862 0.000 14.131
Ba Si O
8 12 32
Cartesian
0.940 0.000 1.568 Ba
0.516 0.195 8.637 Ba
4.037 2.491 7.506 Ba
4.484 2.561 0.480 Ba
7.299 0.189 13.651 Ba
7.745 0.118 6.626 Ba
10.843 2.373 12.563 Ba
11.267 2.568 5.494 Ba
1.133 0.325 12.567 Si
1.574 4.625 5.503 Si
2.151 2.691 10.969 Si
2.616 2.218 3.908 Si
5.238 2.239 11.473 Si
5.757 2.229 4.418 Si
6.026 4.602 9.713 Si
6.545 4.612 2.658 Si
9.167 4.591 10.223 Si
9.632 0.318 3.162 Si
10.209 2.252 8.628 Si
10.650 2.698 1.564 Si
0.024 0.188 5.864 O
-0.401 4.707 12.942 O
1.054 1.879 11.917 O
1.601 3.040 4.934 O
2.089 0.663 4.111 O
1.704 4.264 11.210 O
2.119 2.377 9.404 O
2.555 2.597 2.359 O
2.550 0.079 6.775 O
2.118 0.219 13.845 O
3.609 2.419 11.706 O
4.116 2.355 4.589 O
5.372 0.225 8.305 O
5.825 0.234 1.278 O
5.565 0.662 11.082 O
5.656 3.032 10.085 O
6.127 0.659 4.046 O
6.218 3.035 3.049 O
5.958 2.607 12.853 O
6.411 2.598 5.826 O
7.667 4.728 9.542 O
8.174 0.046 2.425 O
9.233 2.452 7.356 O
9.665 2.592 0.286 O
9.664 0.004 4.727 O
9.228 0.224 11.772 O
10.078 1.891 2.921 O
9.694 3.036 10.021 O
10.182 0.667 9.197 O
10.729 4.252 2.214 O
12.184 2.334 1.189 O
11.758 2.561 8.267 O
```

Output
formation energy	-3.377	eV per atom


Below is a relaxed Ba5Si4O14 crystal, with properties calculated at the PBE level.

```
Ba5Si4O14
1.0
7.826 0.000 0.000
0.000 7.826 0.000
0.000 0.000 11.921
Ba Si O
10 8 28
Cartesian
0.000 0.000 0.000 Ba
1.256 2.657 2.980 Ba
1.256 2.657 8.941 Ba
2.657 6.570 2.980 Ba
2.657 6.570 8.941 Ba
3.913 3.913 5.960 Ba
5.168 1.256 2.980 Ba
5.168 1.256 8.941 Ba
6.570 5.168 2.980 Ba
6.570 5.168 8.941 Ba
0.901 5.682 5.960 Si
1.769 4.814 0.000 Si
2.144 0.901 5.960 Si
3.011 1.769 0.000 Si
4.814 6.057 0.000 Si
5.682 6.924 5.960 Si
6.057 3.011 0.000 Si
6.924 2.144 5.960 Si
0.000 0.000 2.958 O
0.000 0.000 8.963 O
0.707 1.765 5.960 O
0.984 5.238 1.353 O
0.984 5.238 10.568 O
1.326 4.896 4.607 O
1.326 4.896 7.313 O
1.765 7.118 5.960 O
2.148 3.205 0.000 O
2.587 0.984 1.353 O
2.587 0.984 10.568 O
2.929 1.326 4.607 O
2.929 1.326 7.313 O
3.205 5.678 0.000 O
3.913 3.913 3.003 O
3.913 3.913 8.918 O
4.620 2.148 0.000 O
4.896 6.500 4.607 O
4.896 6.500 7.313 O
5.238 6.842 1.353 O
5.238 6.842 10.568 O
5.678 4.620 0.000 O
6.061 0.707 5.960 O
6.500 2.929 4.607 O
6.500 2.929 7.313 O
6.842 2.587 1.353 O
6.842 2.587 10.568 O
7.118 6.061 5.960 O
```

Output
formation energy	-3.126	eV per atom


Below is a relaxed Ba3SiO5 crystal, with properties calculated at the PBE level.

```
Ba3SiO5
1.0
-3.705 3.705 5.691
3.705 -3.705 5.691
3.705 3.705 -5.691
Ba Si O
6 2 10
Cartesian
5.062 1.357 0.000 Ba
0.000 0.000 2.846 Ba
1.357 2.348 0.000 Ba
2.348 1.357 5.691 Ba
0.000 0.000 8.537 Ba
-1.357 2.348 5.691 Ba
3.705 0.000 2.846 Si
0.000 3.705 2.846 Si
0.000 0.000 0.000 O
4.643 -0.938 1.849 O
2.768 -0.938 3.842 O
2.768 0.938 1.849 O
4.643 0.938 3.842 O
0.000 0.000 5.691 O
-0.938 2.768 1.849 O
0.938 2.768 3.842 O
0.938 4.643 1.849 O
-0.938 4.643 3.842 O
```

Output
formation energy	-3.238	eV per atom


Below is a relaxed BaSiO3 crystal, with properties calculated at the PBE level.

```
BaSiO3
1.0
5.518 0.000 0.000
-2.759 4.779 0.000
0.000 0.000 13.280
Ba Si O
6 6 18
Cartesian
0.000 0.000 3.320 Ba
0.000 0.000 9.960 Ba
0.000 3.186 1.264 Ba
0.000 3.186 5.376 Ba
2.759 1.593 7.904 Ba
2.759 1.593 12.016 Ba
0.000 0.000 0.000 Si
0.000 0.000 6.640 Si
0.000 3.186 8.715 Si
0.000 3.186 11.205 Si
2.759 1.593 2.075 Si
2.759 1.593 4.565 Si
-1.174 2.508 9.960 O
0.000 1.592 7.703 O
0.000 1.592 12.217 O
-1.380 3.983 7.703 O
-1.380 3.983 12.217 O
1.379 0.796 1.063 O
1.379 0.796 5.577 O
1.174 2.508 9.960 O
0.000 4.542 9.960 O
2.759 0.237 3.320 O
1.585 2.271 3.320 O
1.380 3.983 7.703 O
1.380 3.983 12.217 O
4.139 0.796 1.063 O
4.139 0.796 5.577 O
2.759 3.187 1.063 O
2.759 3.187 5.577 O
3.933 2.271 3.320 O
```

Output
formation energy	-2.995	eV per atom


Below is a relaxed BaSiO3 crystal, with properties calculated at the PBE level.

```
BaSiO3
1.0
2.811 1.623 6.738
-2.811 1.623 6.738
0.000 -3.245 6.738
Ba Si O
3 3 9
Cartesian
0.000 0.000 0.000 Ba
0.000 0.000 4.326 Ba
0.000 0.000 15.889 Ba
0.000 0.000 7.699 Si
0.000 0.000 10.108 Si
0.000 0.000 12.516 Si
-1.405 -0.811 6.738 O
-1.191 -0.687 11.286 O
0.000 -1.375 8.930 O
-1.191 0.687 8.930 O
-1.405 0.811 13.477 O
0.000 1.623 6.738 O
1.191 -0.687 11.286 O
0.000 1.375 11.286 O
1.191 0.687 8.930 O
```

Output
formation energy	-3.109	eV per atom